Compound: Li3Rh
Source: the Materials Project database
Functional: meta-GGA r2SCAN
Structure: relaxed

CIF file:
```
data_Li3Rh
_chemical_formula_sum 'Li12 Rh4'
_symmetry_space_group_name_H-M 'F m -3 m'
_symmetry_Int_Tables_number 225
_symmetry_space_group_name_Hall '-F 4 2 3'
_cell_length_a 5.9628
_cell_length_b 5.9628
_cell_length_c 5.9628
_cell_angle_alpha 90.00
_cell_angle_beta 90.00
_cell_angle_gamma 90.00
loop_
_atom_site_label
_atom_site_type_symbol
_atom_site_fract_x
_atom_site_fract_y
_atom_site_fract_z
Li1 Li 0.0000 0.0000 0.0000
Li2 Li 0.2500 0.2500 0.2500
Rh1 Rh 0.0000 0.0000 0.5000
```

Computed properties:
The value obtained for the formation energy is -0.021 eV/atom.